(1)
A plane-wave DFT calculation with PBE+U was carried out for an optimized crystal structure of MnAg4P6H6O18.

The structure in POSCAR format:
```
MnAg4P6H6O18
1.0
6.629 0.000 0.000
3.287 8.311 0.000
1.336 0.313 9.013
O P Ag H Mn
18 6 4 6 1
Direct
0.706 0.393 0.685 O
0.869 0.615 0.629 O
0.351 0.400 0.121 O
0.131 0.385 0.371 O
0.451 0.141 0.274 O
0.971 0.612 0.187 O
0.696 0.309 0.253 O
0.421 0.223 0.542 O
0.320 0.844 0.972 O
0.029 0.388 0.813 O
0.579 0.777 0.458 O
0.304 0.691 0.747 O
0.850 0.893 0.535 O
0.549 0.859 0.726 O
0.680 0.156 0.028 O
0.150 0.107 0.465 O
0.649 0.600 0.879 O
0.294 0.607 0.315 O
0.434 0.750 0.834 P
0.821 0.484 0.750 P
0.290 0.208 0.426 P
0.566 0.250 0.166 P
0.179 0.516 0.250 P
0.710 0.792 0.574 P
0.782 0.190 0.499 Ag
0.645 0.592 0.247 Ag
0.355 0.408 0.753 Ag
0.218 0.810 0.501 Ag
0.083 0.127 0.078 H
0.976 0.945 0.227 H
0.917 0.873 0.922 H
0.024 0.055 0.773 H
0.057 0.123 0.796 H
0.943 0.877 0.204 H
0.000 0.000 0.000 Mn
```

Calculated values
Formation energy from the elements, eV per atom: -1.62

(2)
A plane-wave DFT calculation with PBE+U was carried out for an optimized crystal structure of FeO2.

The structure in POSCAR format:
```
FeO2
1.0
3.036 0.000 0.000
0.000 4.653 0.000
0.000 0.000 9.476
Fe O
4 8
Direct
0.250 0.506 0.639 Fe
0.750 0.494 0.361 Fe
0.250 0.994 0.139 Fe
0.750 0.006 0.861 Fe
0.250 0.239 0.786 O
0.750 0.303 0.540 O
0.250 0.803 0.960 O
0.250 0.697 0.460 O
0.750 0.739 0.714 O
0.750 0.197 0.040 O
0.750 0.761 0.214 O
0.250 0.261 0.286 O
```

Calculated values
Formation energy from the elements, eV per atom: -1.22

(3)
A plane-wave DFT calculation with PBE+U was carried out for an optimized crystal structure of Cs4Rb2Fe2O5.

The structure in POSCAR format:
```
Cs4Rb2Fe2O5
1.0
2.833 2.503 -6.261
4.913 -5.476 0.546
-7.569 -7.428 -6.394
Cs Fe O Rb
8 4 10 4
Direct
0.000 0.500 0.744 Cs
0.314 0.658 0.000 Cs
0.314 0.158 0.500 Cs
0.000 0.000 0.244 Cs
0.686 0.342 0.000 Cs
0.000 0.500 0.256 Cs
0.000 0.000 0.756 Cs
0.686 0.842 0.500 Cs
0.808 0.807 0.000 Fe
0.192 0.193 0.000 Fe
0.192 0.693 0.500 Fe
0.808 0.307 0.500 Fe
0.000 0.500 0.500 O
0.284 0.791 0.367 O
0.000 0.000 0.000 O
0.284 0.291 0.867 O
0.284 0.291 0.133 O
0.284 0.791 0.633 O
0.716 0.709 0.133 O
0.716 0.209 0.633 O
0.716 0.709 0.867 O
0.716 0.209 0.367 O
0.500 0.000 0.220 Rb
0.500 0.500 0.280 Rb
0.500 0.000 0.780 Rb
0.500 0.500 0.720 Rb
```

Calculated values
Formation energy from the elements, eV per atom: -1.42

(4)
A plane-wave DFT calculation with PBE+U was carried out for an optimized crystal structure of Li9Mn2Co5O16.

The structure in POSCAR format:
```
Li9Mn2Co5O16
1.0
4.986 0.000 0.000
0.121 5.933 0.000
1.870 0.236 9.631
Li Co O Mn
9 5 16 2
Direct
0.751 0.745 0.247 Li
0.248 0.745 0.754 Li
0.752 0.255 0.246 Li
0.747 0.005 0.754 Li
0.000 0.500 0.000 Li
0.758 0.496 0.756 Li
0.253 0.995 0.246 Li
0.249 0.255 0.753 Li
0.242 0.504 0.244 Li
0.999 0.753 0.501 Co
0.500 0.258 0.000 Co
0.500 0.742 0.000 Co
0.500 0.000 0.500 Co
0.001 0.247 0.499 Co
0.639 0.266 0.617 O
0.142 0.993 0.614 O
0.361 0.225 0.384 O
0.361 0.734 0.383 O
0.864 0.236 0.889 O
0.136 0.495 0.618 O
0.365 0.985 0.890 O
0.635 0.015 0.110 O
0.639 0.775 0.616 O
0.397 0.490 0.888 O
0.860 0.772 0.892 O
0.140 0.228 0.108 O
0.864 0.505 0.382 O
0.858 0.007 0.386 O
0.136 0.764 0.111 O
0.603 0.510 0.112 O
0.000 0.000 0.000 Mn
0.500 0.500 0.500 Mn
```

Calculated values
Formation energy from the elements, eV per atom: -1.82
Distance to the lowest polymorph of the same formula, eV per atom: 0.041

(5)
A plane-wave DFT calculation with PBE+U was carried out for an optimized crystal structure of Li3Co2O5.

The structure in POSCAR format:
```
Li3Co2O5
1.0
0.813 -0.098 2.790
1.972 -1.937 0.901
18.987 15.593 -3.523
Li Co O
6 4 10
Direct
0.500 0.500 0.500 Li
0.905 0.905 0.302 Li
0.307 0.307 0.099 Li
0.693 0.693 0.901 Li
0.000 0.000 0.000 Li
0.095 0.095 0.698 Li
0.202 0.202 0.399 Co
0.798 0.798 0.601 Co
0.598 0.598 0.202 Co
0.402 0.402 0.798 Co
0.446 0.446 0.648 O
0.148 0.148 0.554 O
0.554 0.554 0.352 O
0.068 0.068 0.839 O
0.651 0.651 0.054 O
0.737 0.737 0.755 O
0.932 0.932 0.161 O
0.349 0.349 0.946 O
0.852 0.852 0.446 O
0.263 0.263 0.245 O
```

Calculated values
Formation energy from the elements, eV per atom: -1.61
Distance to the lowest polymorph of the same formula, eV per atom: 0.135

(6)
A plane-wave DFT calculation with PBE+U was carried out for an optimized crystal structure of MgMn2Fe2O8.

The structure in POSCAR format:
```
MgMn2Fe2O8
1.0
4.851 0.000 0.074
0.000 5.642 0.000
0.075 0.000 4.914
Fe O Mn Mg
2 8 2 1
Direct
0.500 0.675 0.250 Fe
0.500 0.345 0.750 Fe
0.742 0.630 0.927 O
0.258 0.630 0.573 O
0.218 0.115 0.572 O
0.212 0.880 0.076 O
0.737 0.375 0.410 O
0.782 0.115 0.928 O
0.263 0.375 0.090 O
0.788 0.880 0.424 O
0.000 0.873 0.750 Mn
0.000 0.136 0.250 Mn
0.000 0.602 0.250 Mg
```

Calculated values
Formation energy from the elements, eV per atom: -1.79
Distance to the lowest polymorph of the same formula, eV per atom: 0.000

(7)
A plane-wave DFT calculation with PBE+U was carried out for an optimized crystal structure of Li5Mn2P2C2O14.

The structure in POSCAR format:
```
Li5Mn2P2C2O14
1.0
-1.955 3.368 5.132
-0.817 -7.225 4.429
9.478 0.237 3.456
Li P O C Mn
10 4 28 4 4
Direct
0.479 0.262 0.636 Li
0.979 0.738 0.364 Li
0.521 0.738 0.364 Li
0.520 0.752 0.881 Li
0.021 0.262 0.636 Li
0.480 0.248 0.119 Li
0.750 0.903 0.617 Li
0.250 0.097 0.383 Li
0.020 0.248 0.119 Li
0.980 0.752 0.881 Li
0.750 0.586 0.639 P
0.250 0.418 0.863 P
0.250 0.414 0.361 P
0.750 0.582 0.137 P
0.936 0.688 0.586 O
0.750 0.076 0.483 O
0.750 0.904 0.815 O
0.250 0.107 0.668 O
0.750 0.152 0.267 O
0.250 0.096 0.185 O
0.250 0.581 0.414 O
0.750 0.570 0.793 O
0.750 0.893 0.332 O
0.440 0.326 0.921 O
0.560 0.674 0.079 O
0.750 0.573 0.292 O
0.750 0.080 0.974 O
0.250 0.835 0.240 O
0.750 0.165 0.760 O
0.250 0.848 0.733 O
0.250 0.591 0.905 O
0.250 0.920 0.026 O
0.436 0.312 0.414 O
0.750 0.409 0.095 O
0.250 0.430 0.207 O
0.250 0.924 0.517 O
0.060 0.326 0.921 O
0.940 0.674 0.079 O
0.750 0.419 0.586 O
0.250 0.427 0.708 O
0.564 0.688 0.586 O
0.064 0.312 0.414 O
0.750 0.046 0.854 C
0.250 0.954 0.146 C
0.250 0.964 0.639 C
0.750 0.036 0.361 C
0.250 0.659 0.101 Mn
0.250 0.661 0.607 Mn
0.750 0.341 0.899 Mn
0.750 0.339 0.393 Mn
```

Calculated values
Formation energy from the elements, eV per atom: -2.37
Distance to the lowest polymorph of the same formula, eV per atom: 0.012

(8)
A plane-wave DFT calculation with PBE+U was carried out for an optimized crystal structure of Mg2Co7O12.

The structure in POSCAR format:
```
Mg2Co7O12
1.0
5.808 0.000 0.000
-2.903 5.046 0.000
-0.039 -0.035 14.160
Co O Mg
14 24 4
Direct
0.329 0.657 0.667 Co
0.831 0.168 0.542 Co
0.672 0.333 0.086 Co
0.670 0.834 0.209 Co
0.994 0.995 0.998 Co
0.999 0.006 0.374 Co
0.338 0.673 0.417 Co
0.000 0.501 0.875 Co
0.667 0.334 0.707 Co
0.336 0.167 0.542 Co
0.165 0.330 0.210 Co
0.662 0.334 0.333 Co
0.501 0.500 0.873 Co
0.004 0.010 0.749 Co
0.506 0.470 0.623 O
0.363 0.194 0.791 O
0.295 0.161 0.292 O
0.153 0.307 0.463 O
0.965 0.470 0.623 O
0.166 0.859 0.457 O
0.650 0.811 0.952 O
0.658 0.314 0.470 O
0.819 0.639 0.794 O
0.675 0.348 0.950 O
0.839 0.704 0.293 O
0.017 0.495 0.131 O
0.175 0.348 0.947 O
0.990 0.006 0.134 O
0.162 0.813 0.954 O
0.517 0.033 0.620 O
0.491 0.506 0.136 O
0.325 0.651 0.803 O
0.504 0.984 0.130 O
0.851 0.150 0.287 O
0.832 0.195 0.791 O
0.342 0.659 0.283 O
0.009 0.017 0.616 O
0.695 0.862 0.459 O
0.333 0.661 0.042 Mg
0.833 0.665 0.541 Mg
0.166 0.835 0.210 Mg
0.499 0.001 0.874 Mg
```

Calculated values
Formation energy from the elements, eV per atom: -1.62

Question: The highest formation energy from the elements belongs to which entry?
Answer: FeO2